Here is a relaxed Dy2MgTl crystal from the Materials Project database. Energies are from GGA-PBE.

Structure (POSCAR):
```
Dy2MgTl
1.0
0.0000 3.7769 3.7769
3.7769 0.0000 3.7769
3.7769 3.7769 0.0000
Dy Mg Tl
2 1 1
Direct
0.2500 0.2500 0.2500
0.7500 0.7500 0.7500
0.0000 0.0000 0.0000
0.5000 0.5000 0.5000
```

Summary:
**Electronic total energy**: -3.52 eV/atom